Na6TaGa3Si2P4O24 | the Materials Project database | PBE-GGA | optimized geometry; energy above the most stable polymorph in this dataset = 0.0 kJ per mole of atoms; size of the total moment = 0.000 μB/f.u.; DFT formation energy = -2.687 eV/atom; calculated volume = 1493.1 Å³ per cell
1.0
8.840 0.000 0.000
4.416 7.675 0.000
0.152 -0.048 22.007
Na Ta Ga Si P O
18 3 9 6 12 72
direct
0.000 0.000 0.000
0.000 0.003 0.500
0.024 0.675 0.582
0.299 0.671 0.079
0.329 0.326 0.667
0.330 0.703 0.414
0.332 0.330 0.165
0.339 0.960 0.915
0.364 0.999 0.242
0.368 0.628 0.745
0.627 0.002 0.746
0.665 0.657 0.326
0.668 0.024 0.082
0.680 0.658 0.832
0.689 0.345 0.914
0.701 0.960 0.411
0.961 0.336 0.410
0.995 0.632 0.244
0.325 0.329 0.015
0.332 0.336 0.518
0.996 0.997 0.850
0.004 0.001 0.642
0.325 0.333 0.814
0.330 0.336 0.310
0.662 0.663 0.178
0.662 0.670 0.975
0.665 0.666 0.481
0.666 0.658 0.679
0.997 0.996 0.344
0.999 0.007 0.145
0.033 0.344 0.909
0.034 0.627 0.410
0.332 0.619 0.910
0.371 0.952 0.081
0.374 0.676 0.580
0.619 0.038 0.910
0.289 0.003 0.743
0.291 0.704 0.245
0.331 0.043 0.410
0.621 0.332 0.410
0.665 0.955 0.580
0.669 0.374 0.079
0.704 0.003 0.245
0.709 0.290 0.742
0.948 0.373 0.579
0.949 0.667 0.080
0.993 0.292 0.246
0.997 0.703 0.742
0.020 0.819 0.406
0.023 0.161 0.904
0.028 0.788 0.686
0.032 0.169 0.192
0.120 0.500 0.351
0.122 0.370 0.850
0.136 0.356 0.571
0.139 0.505 0.074
0.159 0.815 0.904
0.162 0.030 0.406
0.163 0.307 0.250
0.164 0.531 0.469
0.165 0.526 0.749
0.167 0.293 0.969
0.172 0.787 0.189
0.172 0.835 0.584
0.174 0.028 0.688
0.178 0.970 0.086
0.200 0.973 0.801
0.211 0.822 0.303
0.296 0.534 0.971
0.302 0.163 0.465
0.303 0.524 0.251
0.314 0.163 0.748
0.351 0.497 0.572
0.358 0.147 0.074
0.367 0.121 0.353
0.372 0.500 0.850
0.454 0.835 0.020
0.458 0.698 0.516
0.471 0.833 0.741
0.473 0.691 0.239
0.492 0.631 0.640
0.494 0.859 0.416
0.497 0.137 0.571
0.497 0.359 0.074
0.497 0.875 0.140
0.499 0.645 0.917
0.501 0.368 0.355
0.502 0.122 0.850
0.518 0.163 0.251
0.525 0.308 0.748
0.533 0.168 0.970
0.533 0.299 0.466
0.628 0.494 0.135
0.631 0.875 0.637
0.638 0.850 0.919
0.640 0.496 0.417
0.689 0.834 0.242
0.691 0.473 0.740
0.696 0.451 0.020
0.701 0.842 0.522
0.790 0.028 0.188
0.798 0.166 0.689
0.804 0.166 0.406
0.808 0.032 0.905
0.819 0.968 0.303
0.820 0.201 0.801
0.822 0.185 0.086
0.825 0.697 0.739
0.827 0.976 0.585
0.833 0.477 0.240
0.834 0.699 0.025
0.839 0.500 0.920
0.841 0.646 0.419
0.847 0.452 0.519
0.875 0.499 0.633
0.877 0.631 0.140
0.966 0.211 0.306
0.967 0.828 0.798
0.970 0.192 0.585
0.972 0.830 0.086